## MgCr2O4 (GGA+U)

Data for a relaxed MgCr2O4 crystal.

Output
**Symmetry**: No. 2
**Excess energy over the best structure of this formula in the dataset**: 254 meV/atom
**Magnetization**: 6.0 μB per cell
**Crystal system**: triclinic
**Volume**: 10.94 Å³ per atom
**ΔE_f**: -2.379 eV per atom

Cell lengths 3.033, 9.796, 3.026 Å; angles 90.27, 119.91, 99.04 degrees
Sites, in units of the cell vectors:
Mg 0.003 0.000 0.998
Cr 0.489 0.736 0.236
Cr 0.518 0.264 0.759
O 0.755 0.125 0.376
O 0.764 0.648 0.872
O 0.243 0.351 0.123
O 0.251 0.875 0.620

=====

## K3NaMo5Se2O23 (GGA+U)

Data for a relaxed K3NaMo5Se2O23 crystal.

Output
**Symmetry**: No. 14
**Magnetization**: 8.0 μB per cell
**Crystal system**: monoclinic
**Volume**: 16.82 Å³ per atom
**ΔE_f**: -1.496 eV per atom

Cell lengths 9.987, 24.031, 10.408 Å; angles 90.00, 113.67, 90.00 degrees
Sites, in units of the cell vectors:
K 0.591 0.617 0.972
K 0.091 0.883 0.472
K 0.409 0.383 0.028
K 0.909 0.117 0.528
K 0.066 0.576 0.212
K 0.566 0.924 0.712
K 0.934 0.424 0.788
K 0.434 0.076 0.288
K 0.928 0.742 0.017
K 0.428 0.758 0.517
K 0.072 0.258 0.983
K 0.572 0.242 0.483
Na 0.440 0.523 0.301
Na 0.940 0.977 0.801
Na 0.560 0.477 0.699
Na 0.060 0.023 0.199
Mo 0.390 0.916 0.326
Mo 0.890 0.584 0.826
Mo 0.610 0.084 0.674
Mo 0.110 0.416 0.174
Mo 0.737 0.961 0.379
Mo 0.237 0.539 0.879
Mo 0.263 0.039 0.621
Mo 0.763 0.461 0.121
Mo 0.290 0.805 0.101
Mo 0.790 0.695 0.601
Mo 0.710 0.195 0.899
Mo 0.210 0.305 0.399
Mo 0.801 0.895 0.081
Mo 0.301 0.605 0.581
Mo 0.199 0.105 0.919
Mo 0.699 0.395 0.419
Mo 0.544 0.791 0.955
Mo 0.044 0.709 0.455
Mo 0.456 0.209 0.045
Mo 0.956 0.291 0.545
Se 0.678 0.814 0.323
Se 0.178 0.686 0.823
Se 0.322 0.186 0.677
Se 0.822 0.314 0.177
Se 0.425 0.933 0.010
Se 0.925 0.567 0.510
Se 0.575 0.067 0.990
Se 0.075 0.433 0.490
O 0.363 0.881 0.464
O 0.863 0.619 0.964
O 0.637 0.119 0.536
O 0.137 0.381 0.036
O 0.283 0.977 0.298
O 0.783 0.523 0.798
O 0.717 0.023 0.702
O 0.217 0.477 0.202
O 0.700 0.031 0.331
O 0.200 0.469 0.831
O 0.300 0.969 0.669
O 0.800 0.531 0.169
O 0.889 0.966 0.539
O 0.389 0.534 0.039
O 0.111 0.034 0.461
O 0.611 0.466 0.961
O 0.130 0.798 0.950
O 0.630 0.702 0.450
O 0.870 0.202 0.050
O 0.370 0.298 0.550
O 0.254 0.759 0.215
O 0.754 0.741 0.715
O 0.746 0.241 0.785
O 0.246 0.259 0.285
O 0.861 0.942 0.983
O 0.361 0.558 0.483
O 0.139 0.058 0.017
O 0.639 0.442 0.517
O 0.955 0.855 0.169
O 0.455 0.645 0.669
O 0.045 0.145 0.831
O 0.545 0.355 0.331
O 0.424 0.790 0.778
O 0.924 0.710 0.278
O 0.576 0.210 0.222
O 0.076 0.290 0.722
O 0.645 0.730 0.979
O 0.145 0.770 0.479
O 0.355 0.270 0.021
O 0.855 0.230 0.521
O 0.578 0.944 0.979
O 0.078 0.556 0.479
O 0.422 0.056 0.021
O 0.922 0.444 0.521
O 0.683 0.845 0.930
O 0.183 0.655 0.430
O 0.317 0.155 0.070
O 0.817 0.345 0.570
O 0.501 0.831 0.306
O 0.001 0.669 0.806
O 0.499 0.169 0.694
O 0.999 0.331 0.194
O 0.428 0.761 0.055
O 0.928 0.739 0.555
O 0.572 0.239 0.945
O 0.072 0.261 0.445
O 0.585 0.945 0.448
O 0.085 0.555 0.948
O 0.415 0.055 0.552
O 0.915 0.445 0.052
O 0.818 0.942 0.242
O 0.318 0.558 0.742
O 0.182 0.058 0.758
O 0.682 0.442 0.258
O 0.673 0.833 0.157
O 0.173 0.667 0.657
O 0.327 0.167 0.843
O 0.827 0.333 0.343
O 0.395 0.862 0.981
O 0.895 0.638 0.481
O 0.605 0.138 0.019
O 0.105 0.362 0.519
O 0.256 0.879 0.162
O 0.756 0.621 0.662
O 0.744 0.121 0.838
O 0.244 0.379 0.338
O 0.779 0.868 0.420
O 0.279 0.632 0.920
O 0.221 0.132 0.580
O 0.721 0.368 0.080
O 0.506 0.938 0.196
O 0.006 0.562 0.696
O 0.494 0.062 0.804
O 0.994 0.438 0.304
O 0.402 0.638 0.218
O 0.902 0.862 0.718
O 0.598 0.362 0.782
O 0.098 0.138 0.282
O 0.528 0.628 0.235
O 0.028 0.872 0.735
O 0.472 0.372 0.765
O 0.972 0.128 0.265

=====

## CaCr4O8 (GGA+U)

Data for a relaxed CaCr4O8 crystal.

Output
**Symmetry**: No. 8
**Excess energy over the best structure of this formula in the dataset**: 12 meV/atom
**Magnetization**: 10.0 μB per cell
**Crystal system**: monoclinic
**Volume**: 11.16 Å³ per atom
**ΔE_f**: -2.338 eV per atom

Cell lengths 3.032, 7.056, 7.158 Å; angles 80.72, 77.77, 77.59 degrees
Sites, in units of the cell vectors:
Ca 0.413 0.073 0.101
Cr 0.634 0.173 0.559
Cr 0.141 0.504 0.214
Cr 0.833 0.490 0.843
Cr 0.343 0.811 0.503
O 0.852 0.670 0.626
O 0.448 0.326 0.779
O 0.531 0.658 0.281
O 0.126 0.320 0.429
O 0.154 0.013 0.678
O 0.780 0.336 0.104
O 0.833 0.976 0.358
O 0.209 0.626 0.956

=====

## Sr2Ca14Mn14Al2O45 (GGA+U)

Data for a relaxed Sr2Ca14Mn14Al2O45 crystal.

Output
**Symmetry**: No. 1
**Magnetization**: 92.0 μB per cell
**Crystal system**: triclinic
**Volume**: 11.59 Å³ per atom
**ΔE_f**: -2.586 eV per atom

Cell lengths 10.870, 15.187, 10.812 Å; angles 89.94, 91.07, 90.02 degrees
Sites, in units of the cell vectors:
Sr 0.002 0.119 0.501
Sr 0.499 0.372 0.991
Sr 0.245 0.377 0.248
Sr 0.257 0.123 0.238
Ca 0.007 0.111 0.005
Ca 0.017 0.629 0.499
Ca 0.019 0.627 0.996
Ca 0.535 0.125 0.496
Ca 0.530 0.124 0.995
Ca 0.524 0.634 0.511
Ca 0.524 0.625 0.980
Ca 0.496 0.371 0.509
Ca 0.481 0.873 0.999
Ca 0.479 0.873 0.509
Ca 0.974 0.383 0.005
Ca 0.961 0.384 0.499
Ca 0.979 0.874 0.006
Ca 0.974 0.873 0.503
Ca 0.234 0.391 0.763
Ca 0.233 0.876 0.245
Ca 0.228 0.872 0.748
Ca 0.738 0.365 0.245
Ca 0.733 0.374 0.749
Ca 0.733 0.874 0.245
Ca 0.729 0.876 0.742
Ca 0.264 0.114 0.758
Ca 0.240 0.634 0.242
Ca 0.269 0.628 0.755
Ca 0.767 0.120 0.255
Ca 0.778 0.122 0.756
Ca 0.777 0.627 0.255
Ca 0.772 0.625 0.755
Mn 0.002 0.000 0.251
Mn 0.998 0.995 0.753
Mn 0.001 0.499 0.252
Mn 0.995 0.499 0.752
Mn 0.496 0.001 0.745
Mn 0.512 0.491 0.242
Mn 0.499 0.501 0.746
Mn 0.251 0.000 0.999
Mn 0.249 0.502 0.002
Mn 0.237 0.499 0.512
Mn 0.751 0.997 0.995
Mn 0.746 0.998 0.497
Mn 0.753 0.502 0.000
Mn 0.744 0.504 0.501
Mn 0.252 0.240 0.478
Mn 0.250 0.751 0.999
Mn 0.250 0.751 0.499
Mn 0.763 0.246 0.006
Mn 0.749 0.251 0.503
Mn 0.749 0.750 0.999
Mn 0.748 0.751 0.499
Mn 0.004 0.251 0.763
Mn 0.998 0.752 0.250
Mn 0.998 0.750 0.750
Mn 0.502 0.243 0.248
Mn 0.515 0.243 0.752
Mn 0.497 0.760 0.254
Mn 0.499 0.752 0.751
Al 0.516 0.999 0.229
Al 0.227 0.993 0.516
Al 0.275 0.247 0.975
Al 0.983 0.251 0.270
O 0.106 0.770 0.106
O 0.105 0.771 0.605
O 0.616 0.265 0.117
O 0.606 0.263 0.604
O 0.602 0.766 0.106
O 0.603 0.768 0.604
O 0.404 0.223 0.394
O 0.409 0.228 0.887
O 0.390 0.718 0.388
O 0.394 0.732 0.896
O 0.886 0.240 0.399
O 0.909 0.232 0.911
O 0.892 0.731 0.393
O 0.893 0.729 0.895
O 0.132 0.237 0.349
O 0.174 0.247 0.817
O 0.140 0.732 0.359
O 0.145 0.733 0.852
O 0.647 0.227 0.355
O 0.661 0.230 0.862
O 0.640 0.728 0.354
O 0.644 0.728 0.855
O 0.360 0.260 0.135
O 0.352 0.761 0.147
O 0.356 0.770 0.644
O 0.877 0.272 0.143
O 0.868 0.274 0.640
O 0.854 0.771 0.145
O 0.855 0.773 0.643
O 0.361 0.508 0.161
O 0.357 0.485 0.640
O 0.359 0.985 0.142
O 0.356 0.979 0.634
O 0.853 0.481 0.151
O 0.849 0.480 0.647
O 0.861 0.976 0.139
O 0.855 0.980 0.643
O 0.146 0.015 0.365
O 0.143 0.013 0.855
O 0.155 0.516 0.357
O 0.147 0.519 0.853
O 0.633 0.024 0.360
O 0.642 0.025 0.853
O 0.624 0.533 0.360
O 0.645 0.517 0.851
O 0.393 0.023 0.893
O 0.393 0.513 0.895
O 0.885 0.014 0.384
O 0.891 0.017 0.891
O 0.893 0.519 0.396
O 0.897 0.519 0.900
O 0.105 0.484 0.107
O 0.094 0.476 0.612
O 0.109 0.983 0.108
O 0.099 0.976 0.614
O 0.610 0.492 0.101
O 0.599 0.488 0.600
O 0.614 0.977 0.100
O 0.603 0.981 0.602
O 0.012 0.375 0.283
O 0.011 0.376 0.793
O 0.011 0.875 0.289
O 0.007 0.873 0.793
O 0.494 0.373 0.294
O 0.497 0.371 0.761
O 0.494 0.890 0.295
O 0.511 0.876 0.788
O 0.493 0.119 0.215
O 0.480 0.125 0.701
O 0.487 0.626 0.720
O 0.993 0.128 0.219
O 0.999 0.126 0.725
O 0.998 0.626 0.214
O 0.988 0.625 0.712
O 0.221 0.137 0.016
O 0.241 0.122 0.536
O 0.236 0.626 0.030
O 0.238 0.625 0.540
O 0.751 0.121 0.042
O 0.752 0.125 0.540
O 0.741 0.627 0.039
O 0.743 0.627 0.540
O 0.269 0.363 0.500
O 0.248 0.369 0.985
O 0.263 0.877 0.461
O 0.264 0.876 0.963
O 0.742 0.379 0.461
O 0.755 0.376 0.966
O 0.753 0.874 0.459
O 0.759 0.874 0.956

=====

- ΔE_f of number 1 (MgCr2O4)?
  -2.379 eV per atom

=====

Please write out number 1 again, unchanged.
## MgCr2O4 (GGA+U)

Data for a relaxed MgCr2O4 crystal.

Output
**Symmetry**: No. 2
**Excess energy over the best structure of this formula in the dataset**: 254 meV/atom
**Magnetization**: 6.0 μB per cell
**Crystal system**: triclinic
**Volume**: 10.94 Å³ per atom
**ΔE_f**: -2.379 eV per atom

Cell lengths 3.033, 9.796, 3.026 Å; angles 90.27, 119.91, 99.04 degrees
Sites, in units of the cell vectors:
Mg 0.003 0.000 0.998
Cr 0.489 0.736 0.236
Cr 0.518 0.264 0.759
O 0.755 0.125 0.376
O 0.764 0.648 0.872
O 0.243 0.351 0.123
O 0.251 0.875 0.620

=====

- What is the formula in the second record?
  K3NaMo5Se2O23

=====

- Which of these has the lowest volume?
  MgCr2O4